Crystalline Li2Ni3SbO8 at its relaxed geometry, computed with PBE with a Hubbard U.

## Properties
spin magnetization = 3.0 μB/cell
space group = R-3m
formation energy = -1.537 eV/atom
distance to the lowest polymorph of the same formula = 16.5 meV per atom

Cell: 6.0143 6.0141 6.0147 Å, 58.67 58.68 58.68°
Positions (direct):
1 O 0.2617 0.2616 0.7220
2 O 0.2703 0.2703 0.2703
3 O 0.7297 0.7297 0.7297
4 O 0.7384 0.2780 0.7383
5 O 0.7220 0.2617 0.2616
6 O 0.7383 0.7384 0.2780
7 O 0.2780 0.7383 0.7384
8 O 0.2616 0.7220 0.2617
9 Li 0.8737 0.8737 0.8737
10 Li 0.1263 0.1263 0.1263
11 Ni 0.0000 0.5000 0.5000
12 Ni 0.5000 0.0000 0.5000
13 Ni 0.5000 0.5000 0.0000
14 Sb 0.5000 0.5000 0.5000